(1)
{
  "formula": "CsBiMo2O8",
  "functional": "PBE+U",
  "state": "relaxed",
  "magnetic_moment_mub_per_cell": 0.0,
  "formation_energy_ev_per_atom": -2.0250,
  "energy_ev_per_atom": -6.54,
  "volume_a3_per_cell": 424,
  "crystal_system": "orthorhombic",
  "lattice": [[5.1466, 0.0000, 0.0000], [0.0000, 9.7068, 0.0000], [0.0000, 0.0000, 8.4970]],
  "species": ["Cs", "Cs", "Bi", "Bi", "Mo", "Mo", "Mo", "Mo", "O", "O", "O", "O", "O", "O", "O", "O", "O", "O", "O", "O", "O", "O", "O", "O"],
  "frac_coords": [[0.0000, 0.0000, 0.2500], [0.0000, 0.0000, 0.7500], [0.0000, 0.5000, 0.2500], [0.0000, 0.5000, 0.7500], [0.4774, 0.3033, 0.0000], [0.4774, 0.6967, 0.5000], [0.5226, 0.3033, 0.5000], [0.5226, 0.6967, 0.0000], [0.2528, 0.4317, 0.5000], [0.2528, 0.5683, 0.0000], [0.2650, 0.3104, 0.1701], [0.2650, 0.3104, 0.8299], [0.2650, 0.6896, 0.3299], [0.2650, 0.6896, 0.6701], [0.3819, 0.1389, 0.5000], [0.3819, 0.8611, 0.0000], [0.6181, 0.1389, 0.0000], [0.6181, 0.8611, 0.5000], [0.7350, 0.3104, 0.3299], [0.7350, 0.3104, 0.6701], [0.7350, 0.6896, 0.1701], [0.7350, 0.6896, 0.8299], [0.7472, 0.4317, 0.0000], [0.7472, 0.5683, 0.5000]]
}

(2)
{
  "formula": "Li4CrW3O12",
  "functional": "PBE+U",
  "state": "relaxed",
  "magnetic_moment_mub_per_cell": 4.0,
  "formation_energy_ev_per_atom": -2.2953,
  "de_polymorph_mev_per_atom": 3,
  "energy_ev_per_atom": -6.89,
  "volume_a3_per_cell": 223,
  "crystal_system": "monoclinic",
  "lattice": [[5.0227, 0.0000, 0.0000], [0.0000, 8.6367, 0.0000], [-0.0338, 0.0000, 5.1473]],
  "species": ["Li", "Li", "Li", "Li", "Cr", "W", "W", "W", "O", "O", "O", "O", "O", "O", "O", "O", "O", "O", "O", "O"],
  "frac_coords": [[0.0000, 0.0000, 0.0000], [0.0000, 0.3452, 0.5000], [0.5000, 0.4833, 0.5000], [0.5000, 0.8763, 0.0000], [0.5000, 0.0877, 0.5000], [0.0000, 0.5765, 0.0000], [0.0000, 0.7883, 0.5000], [0.5000, 0.2585, 0.0000], [0.1996, 0.6014, 0.3225], [0.2071, 0.7563, 0.8146], [0.2420, 0.9252, 0.3497], [0.2547, 0.4207, 0.8613], [0.2959, 0.0979, 0.8307], [0.3012, 0.2594, 0.3202], [0.6988, 0.2594, 0.6798], [0.7041, 0.0979, 0.1693], [0.7453, 0.4207, 0.1387], [0.7580, 0.9252, 0.6503], [0.7929, 0.7563, 0.1854], [0.8004, 0.6014, 0.6775]]
}

(3)
{
  "formula": "V4OF11",
  "functional": "PBE+U",
  "state": "relaxed",
  "formation_energy_ev_per_atom": -3.1304,
  "de_polymorph_mev_per_atom": 0,
  "energy_ev_per_atom": -6.24,
  "volume_a3_per_cell": 435,
  "crystal_system": "triclinic",
  "lattice": [[5.2631, 0.0000, 0.0000], [2.6220, 4.7912, 0.0000], [2.5439, -0.9588, 17.2400]],
  "species": ["V", "V", "V", "V", "V", "V", "V", "V", "O", "O", "F", "F", "F", "F", "F", "F", "F", "F", "F", "F", "F", "F", "F", "F", "F", "F", "F", "F", "F", "F", "F", "F"],
  "frac_coords": [[0.0000, 0.0000, 0.0000], [0.0003, 0.4846, 0.4997], [0.2500, 0.8584, 0.6271], [0.2515, 0.3734, 0.1257], [0.4804, 0.2717, 0.7457], [0.5050, 0.7496, 0.2518], [0.7479, 0.6281, 0.8743], [0.7590, 0.1326, 0.3830], [0.3034, 0.5413, 0.6909], [0.8285, 0.2778, 0.4558], [0.1732, 0.9026, 0.3390], [0.1763, 0.7035, 0.5391], [0.1783, 0.2141, 0.0373], [0.1785, 0.4092, 0.8373], [0.2200, 0.1802, 0.5637], [0.2316, 0.6857, 0.0630], [0.2737, 0.0619, 0.1884], [0.3193, 0.8375, 0.9117], [0.3211, 0.0331, 0.7137], [0.3267, 0.5367, 0.2141], [0.3281, 0.3295, 0.4133], [0.6726, 0.9642, 0.2937], [0.6761, 0.6573, 0.5873], [0.6809, 0.1573, 0.0886], [0.6859, 0.4491, 0.7872], [0.7112, 0.9461, 0.8102], [0.7331, 0.4224, 0.3114], [0.7706, 0.3146, 0.9374], [0.7734, 0.8068, 0.4382], [0.8221, 0.7852, 0.9625], [0.8247, 0.5903, 0.1631], [0.8265, 0.0720, 0.6635]]
}

(4)
{
  "formula": "Li3VPCO7",
  "functional": "PBE+U",
  "state": "relaxed",
  "magnetic_moment_mub_per_cell": 0.0,
  "formation_energy_ev_per_atom": -2.4148,
  "de_polymorph_mev_per_atom": 17,
  "energy_ev_per_atom": -6.84,
  "volume_a3_per_cell": 291,
  "crystal_system": "monoclinic",
  "lattice": [[5.2043, 0.0000, 0.0000], [0.0000, 6.7029, 0.0000], [-0.3495, 0.0000, 8.3420]],
  "species": ["Li", "Li", "Li", "Li", "Li", "Li", "V", "V", "P", "P", "C", "C", "O", "O", "O", "O", "O", "O", "O", "O", "O", "O", "O", "O", "O", "O"],
  "frac_coords": [[0.0486, 0.0000, 0.0050], [0.4138, 0.2806, 0.8378], [0.4283, 0.1596, 0.4995], [0.5717, 0.6596, 0.5005], [0.5862, 0.7806, 0.1622], [0.9514, 0.5000, 0.9950], [0.0663, 0.7640, 0.7336], [0.9337, 0.2640, 0.2664], [0.0398, 0.7621, 0.3243], [0.9602, 0.2621, 0.6757], [0.4715, 0.2713, 0.1474], [0.5285, 0.7713, 0.8526], [0.0694, 0.0807, 0.7751], [0.0744, 0.4456, 0.7721], [0.0785, 0.2531, 0.5086], [0.2362, 0.2597, 0.0918], [0.3368, 0.7693, 0.3361], [0.3420, 0.7842, 0.9530], [0.4717, 0.7674, 0.7007], [0.5283, 0.2674, 0.2993], [0.6580, 0.2842, 0.0470], [0.6632, 0.2693, 0.6639], [0.7638, 0.7597, 0.9082], [0.9215, 0.7531, 0.4914], [0.9256, 0.9456, 0.2279], [0.9306, 0.5807, 0.2249]]
}

- Number 4 is which compound?
  Li3VPCO7